Li2MnFe3O8 after structural relaxation. Source: the Materials Project database, functional PBE with a Hubbard U.

Summary:
SG: R-3m
E_tot: -0.4651 Ry per atom
ΔH_f (0 K): -1753 meV per atom

Unit cell a=5.8159 b=5.8159 c=5.8159 alpha=59.65 beta=59.65 gamma=59.65
Element x y z (fractional)
Li1 0.8734 0.8734 0.8734
O1 0.2910 0.7373 0.7373
Mn1 0.5000 0.5000 0.5000
Fe1 0.0000 0.5000 0.5000
O2 0.7373 0.7373 0.2910
O3 0.2639 0.2639 0.2639
O4 0.2627 0.7090 0.2627
O5 0.7373 0.2910 0.7373
O6 0.2627 0.2627 0.7090
Fe2 0.5000 0.5000 0.0000
O7 0.7090 0.2627 0.2627
Li2 0.1266 0.1266 0.1266
Fe3 0.5000 0.0000 0.5000
O8 0.7361 0.7361 0.7361



Li2MnFe3O8 after structural relaxation. Source: the Materials Project database, functional PBE with a Hubbard U.

Summary:
SG: C2/m
E_tot: -0.4654 Ry per atom
ΔH_f (0 K): -1758 meV per atom

Unit cell a=5.9114 b=5.9114 c=6.0022 alpha=60.07 beta=60.07 gamma=59.39
Element x y z (fractional)
Mn1 0.0000 0.0000 0.0000
O1 0.7437 0.2471 0.7931
O2 0.2471 0.7437 0.7931
Li1 0.5000 0.0000 0.5000
O3 0.2563 0.7529 0.2069
O4 0.2292 0.2292 0.7868
Fe1 0.5000 0.5000 0.0000
O5 0.7529 0.2563 0.2069
O6 0.2704 0.2704 0.2125
O7 0.7708 0.7708 0.2132
O8 0.7296 0.7296 0.7875
Fe2 0.5000 0.0000 0.0000
Li2 0.0000 0.5000 0.5000
Fe3 0.0000 0.5000 0.0000



- Among the records above, which one has the highest ΔH_f (0 K)?
  number 1